No. 1
Computed, not measured: crystalline Li2SbPCO7 at its relaxed geometry at the GGA-PBE level of DFT.

The structure in POSCAR format:
```
Li2SbPCO7
1.0
5.146 0.000 0.000
0.000 6.989 0.000
-1.056 0.000 8.782
Li Sb P C O
4 2 2 2 14
direct
0.231 0.000 0.097
0.246 0.315 0.723
0.754 0.815 0.277
0.769 0.500 0.903
0.210 0.482 0.326
0.790 0.982 0.674
0.284 0.997 0.405
0.716 0.497 0.595
0.315 0.493 0.031
0.685 0.993 0.969
0.069 0.485 0.058
0.140 0.833 0.311
0.192 0.034 0.562
0.239 0.175 0.295
0.387 0.461 0.901
0.417 0.450 0.568
0.490 0.531 0.149
0.510 0.031 0.851
0.583 0.950 0.432
0.613 0.961 0.099
0.761 0.675 0.705
0.808 0.534 0.438
0.860 0.333 0.689
0.931 0.985 0.942
```

## Properties
SG: P2_1 (4)
total energy after the MP2020 corrections: -168.18 eV/cell
ΔH_f (0 K): -216 kJ per mole of atoms
DFT total energy: -158.6 eV per cell
density: 3.1 g/cm3

***

No. 2
Computed, not measured: crystalline Li2SmPCO7 at its relaxed geometry at the GGA-PBE level of DFT.

The structure in POSCAR format:
```
Li2SmPCO7
1.0
4.972 0.000 0.000
0.000 6.878 0.000
-0.480 0.000 9.247
Li Sm P C O
4 2 2 2 14
direct
0.202 0.020 0.304
0.202 0.480 0.304
0.798 0.520 0.696
0.798 0.980 0.696
0.257 0.250 0.873
0.743 0.750 0.127
0.266 0.750 0.901
0.734 0.250 0.099
0.258 0.250 0.568
0.742 0.750 0.432
0.028 0.250 0.632
0.127 0.567 0.835
0.127 0.933 0.835
0.240 0.750 0.070
0.271 0.250 0.432
0.426 0.250 0.120
0.476 0.250 0.656
0.524 0.750 0.344
0.574 0.750 0.880
0.729 0.750 0.568
0.760 0.250 0.930
0.873 0.067 0.165
0.873 0.433 0.165
0.972 0.750 0.368
```

## Properties
SG: P2_1/m (11)
total energy after the MP2020 corrections: -181.86 eV/cell
ΔH_f (0 K): -266 kJ per mole of atoms
DFT total energy: -172.2 eV per cell
density: 3.4 g/cm3

***

No. 3
Computed, not measured: crystalline LiTiPCO7 at its relaxed geometry at the GGA-PBE level of DFT.

The structure in POSCAR format:
```
LiTiPCO7
1.0
5.686 0.000 0.000
0.000 6.336 0.000
-0.467 0.000 8.579
Li Ti P C O
2 2 2 2 14
direct
0.248 0.000 0.335
0.752 0.500 0.665
0.214 0.379 0.838
0.786 0.879 0.162
0.264 0.880 0.956
0.736 0.380 0.044
0.262 0.341 0.555
0.738 0.841 0.445
0.058 0.370 0.620
0.123 0.887 0.106
0.203 0.684 0.857
0.204 0.075 0.855
0.289 0.283 0.421
0.437 0.372 0.664
0.470 0.380 0.992
0.530 0.880 0.008
0.563 0.872 0.336
0.711 0.783 0.579
0.796 0.575 0.145
0.797 0.184 0.143
0.877 0.387 0.894
0.942 0.870 0.380
```

## Properties
SG: P2_1 (4)
total energy after the MP2020 corrections: -176.98 eV/cell
ΔH_f (0 K): -258 kJ per mole of atoms
largest piezoelectric modulus: 0.1 C/m²
DFT total energy: -167.4 eV per cell
density: 2.3 g/cm3

***

No. 4
Computed, not measured: crystalline LiTiPCO7 at its relaxed geometry at the GGA-PBE level of DFT.

The structure in POSCAR format:
```
LiTiPCO7
1.0
5.244 0.000 0.000
0.000 6.448 0.000
-1.129 0.000 8.165
Li Ti P C O
2 2 2 2 14
direct
0.245 0.250 0.099
0.755 0.750 0.901
0.204 0.750 0.316
0.796 0.250 0.684
0.249 0.250 0.424
0.751 0.750 0.576
0.314 0.750 0.035
0.686 0.250 0.965
0.070 0.750 0.071
0.081 0.250 0.562
0.199 0.061 0.308
0.199 0.439 0.308
0.375 0.750 0.895
0.465 0.750 0.496
0.480 0.750 0.170
0.520 0.250 0.830
0.535 0.250 0.504
0.625 0.250 0.105
0.801 0.561 0.692
0.801 0.939 0.692
0.919 0.750 0.438
0.930 0.250 0.929
```

## Properties
SG: P2_1/m (11)
total energy after the MP2020 corrections: -176.67 eV/cell
ΔH_f (0 K): -257 kJ per mole of atoms
DFT total energy: -167.1 eV per cell
density: 2.5 g/cm3

***

No. 5
Computed, not measured: crystalline Li2YPCO7 at its relaxed geometry at the GGA-PBE level of DFT.

The structure in POSCAR format:
```
Li2YPCO7
1.0
4.915 0.000 0.000
0.000 6.806 0.000
-0.490 0.000 9.073
Li Y P C O
4 2 2 2 14
direct
0.201 0.021 0.298
0.201 0.479 0.298
0.799 0.521 0.702
0.799 0.979 0.702
0.255 0.250 0.863
0.745 0.750 0.137
0.276 0.750 0.907
0.724 0.250 0.093
0.260 0.250 0.560
0.740 0.750 0.440
0.026 0.250 0.623
0.139 0.566 0.838
0.139 0.934 0.838
0.245 0.750 0.080
0.276 0.250 0.420
0.411 0.250 0.109
0.479 0.250 0.650
0.521 0.750 0.350
0.589 0.750 0.891
0.724 0.750 0.580
0.755 0.250 0.920
0.861 0.066 0.162
0.861 0.434 0.162
0.974 0.750 0.377
```

## Properties
SG: P2_1/m (11)
total energy after the MP2020 corrections: -185.64 eV/cell
ΔH_f (0 K): -267 kJ per mole of atoms
DFT total energy: -176.0 eV per cell
density: 2.8 g/cm3

***

No. 6
Computed, not measured: crystalline Li3ZnPCO7 at its relaxed geometry at the GGA-PBE level of DFT.

The structure in POSCAR format:
```
Li3ZnPCO7
1.0
4.931 0.000 0.000
0.000 6.451 0.000
-0.348 0.000 8.467
Li Zn P C O
6 2 2 2 14
direct
0.231 0.017 0.236
0.231 0.483 0.236
0.256 0.750 0.587
0.744 0.250 0.413
0.769 0.517 0.764
0.769 0.983 0.764
0.225 0.250 0.854
0.775 0.750 0.146
0.287 0.750 0.910
0.713 0.250 0.090
0.271 0.250 0.542
0.729 0.750 0.458
0.021 0.250 0.582
0.184 0.562 0.811
0.184 0.938 0.811
0.186 0.750 0.082
0.334 0.250 0.394
0.395 0.250 0.077
0.466 0.250 0.650
0.534 0.750 0.350
0.605 0.750 0.923
0.666 0.750 0.606
0.814 0.250 0.918
0.816 0.062 0.189
0.816 0.438 0.189
0.979 0.750 0.418
```

## Properties
SG: P2_1/m (11)
total energy after the MP2020 corrections: -173.77 eV/cell
ΔH_f (0 K): -227 kJ per mole of atoms
DFT total energy: -164.1 eV per cell
density: 3.0 g/cm3

***

No. 7
Computed, not measured: crystalline Li3ZnPCO7 at its relaxed geometry at the GGA-PBE level of DFT.

The structure in POSCAR format:
```
Li3ZnPCO7
1.0
5.118 0.000 0.000
0.000 6.499 0.000
-0.258 0.000 8.379
Li Zn P C O
6 2 2 2 14
direct
0.040 0.000 0.004
0.439 0.678 0.820
0.443 0.910 0.487
0.557 0.410 0.513
0.561 0.178 0.180
0.960 0.500 0.996
0.036 0.232 0.712
0.964 0.732 0.288
0.039 0.236 0.331
0.961 0.736 0.669
0.479 0.725 0.136
0.521 0.225 0.864
0.023 0.927 0.774
0.087 0.552 0.765
0.105 0.764 0.509
0.230 0.749 0.100
0.335 0.201 0.364
0.358 0.200 0.977
0.442 0.229 0.714
0.558 0.729 0.286
0.642 0.700 0.023
0.665 0.701 0.636
0.770 0.249 0.900
0.895 0.264 0.491
0.913 0.052 0.235
0.977 0.427 0.226
```

## Properties
SG: P2_1 (4)
total energy after the MP2020 corrections: -174.06 eV/cell
ΔH_f (0 K): -228 kJ per mole of atoms
largest piezoelectric modulus: 1.3 C/m²
DFT total energy: -164.4 eV per cell
density: 2.9 g/cm3

***

No. 8
Computed, not measured: crystalline Li4Sb2C4SO16 at its relaxed geometry at the GGA-PBE level of DFT.

The structure in POSCAR format:
```
Li4Sb2C4SO16
1.0
9.580 0.000 0.000
-0.705 9.676 0.000
-4.420 -4.571 7.475
Li Sb C S O
8 4 8 2 32
direct
0.000 0.000 0.000
0.007 0.631 0.022
0.028 0.010 0.391
0.374 0.839 0.485
0.579 0.556 0.914
0.607 0.994 0.028
0.720 0.198 0.444
0.734 0.869 0.517
0.162 0.419 0.238
0.166 0.441 0.748
0.199 0.921 0.757
0.683 0.437 0.269
0.013 0.203 0.826
0.375 0.692 0.707
0.385 0.176 0.159
0.390 0.607 0.169
0.399 0.233 0.819
0.917 0.628 0.687
0.933 0.240 0.303
0.973 0.674 0.317
0.561 0.058 0.516
0.807 0.814 0.021
0.017 0.218 0.967
0.031 0.336 0.820
0.032 0.619 0.820
0.062 0.236 0.290
0.074 0.818 0.413
0.248 0.052 0.020
0.258 0.233 0.706
0.259 0.602 0.180
0.321 0.698 0.564
0.371 0.313 0.248
0.371 0.563 0.011
0.377 0.999 0.415
0.389 0.821 0.850
0.397 0.105 0.838
0.404 0.571 0.718
0.528 0.162 0.200
0.534 0.650 0.302
0.536 0.346 0.912
0.616 0.991 0.638
0.626 0.986 0.395
0.634 0.235 0.609
0.732 0.832 0.130
0.746 0.903 0.928
0.768 0.638 0.900
0.826 0.292 0.212
0.833 0.485 0.531
0.863 0.642 0.353
0.895 0.758 0.703
0.911 0.191 0.396
0.977 0.559 0.186
0.991 0.066 0.704
0.993 0.888 0.138
```

## Properties
SG: P1 (1)
total energy after the MP2020 corrections: -375.76 eV/cell
ΔH_f (0 K): -185 kJ per mole of atoms
DFT total energy: -353.8 eV per cell
density: 2.9 g/cm3

***

No. 9
Computed, not measured: crystalline LiSbCSO7 at its relaxed geometry at the GGA-PBE level of DFT.

The structure in POSCAR format:
```
LiSbCSO7
1.0
5.581 0.000 0.000
0.000 6.757 0.000
-0.542 0.000 8.837
Li Sb C S O
2 2 2 2 14
direct
0.222 0.000 0.295
0.778 0.500 0.705
0.294 0.753 0.858
0.706 0.253 0.142
0.223 0.751 0.571
0.777 0.251 0.429
0.228 0.265 0.898
0.772 0.765 0.102
0.025 0.825 0.123
0.047 0.711 0.663
0.194 0.789 0.435
0.286 0.086 0.809
0.289 0.233 0.065
0.390 0.426 0.843
0.440 0.754 0.649
0.560 0.254 0.351
0.610 0.926 0.157
0.711 0.733 0.935
0.714 0.586 0.191
0.806 0.289 0.565
0.953 0.211 0.337
0.975 0.325 0.877
```

## Properties
SG: P2_1 (4)
total energy after the MP2020 corrections: -149.67 eV/cell
ΔH_f (0 K): -182 kJ per mole of atoms
DFT total energy: -140.1 eV per cell
density: 2.8 g/cm3

***

No. 10
Computed, not measured: crystalline LiSiSbCO7 at its relaxed geometry at the GGA-PBE level of DFT.

The structure in POSCAR format:
```
LiSiSbCO7
1.0
5.217 0.000 0.000
0.000 6.464 0.000
-0.600 0.000 9.000
Li Si Sb C O
2 2 2 2 14
direct
0.229 0.000 0.301
0.771 0.500 0.699
0.275 0.741 0.930
0.725 0.241 0.070
0.202 0.237 0.840
0.798 0.737 0.160
0.276 0.243 0.567
0.724 0.743 0.433
0.044 0.245 0.624
0.145 0.749 0.090
0.173 0.543 0.830
0.202 0.937 0.822
0.314 0.216 0.436
0.411 0.227 0.029
0.465 0.266 0.676
0.535 0.766 0.324
0.589 0.727 0.971
0.686 0.716 0.564
0.798 0.437 0.178
0.827 0.043 0.170
0.855 0.249 0.910
0.956 0.745 0.376
```

## Properties
SG: P2_1 (4)
total energy after the MP2020 corrections: -160.35 eV/cell
ΔH_f (0 K): -218 kJ per mole of atoms
DFT total energy: -150.7 eV per cell
density: 3.1 g/cm3

***

No. 11
Computed, not measured: crystalline Li3SiSbCO7 at its relaxed geometry at the GGA-PBE level of DFT.

The structure in POSCAR format:
```
Li3SiSbCO7
1.0
5.045 0.000 0.000
0.000 6.872 0.000
-0.530 0.000 9.057
Li Si Sb C O
6 2 2 2 14
direct
0.167 0.250 0.420
0.224 0.552 0.783
0.224 0.948 0.783
0.776 0.052 0.217
0.776 0.448 0.217
0.833 0.750 0.580
0.270 0.250 0.095
0.730 0.750 0.905
0.247 0.750 0.161
0.753 0.250 0.839
0.291 0.750 0.479
0.709 0.250 0.521
0.085 0.750 0.382
0.145 0.250 0.919
0.163 0.063 0.189
0.163 0.437 0.189
0.235 0.750 0.617
0.406 0.750 0.913
0.471 0.250 0.563
0.529 0.750 0.437
0.594 0.250 0.087
0.765 0.250 0.383
0.837 0.563 0.811
0.837 0.937 0.811
0.855 0.750 0.081
0.915 0.250 0.618
```

## Properties
SG: P2_1/m (11)
total energy after the MP2020 corrections: -178.89 eV/cell
ΔH_f (0 K): -225 kJ per mole of atoms
DFT total energy: -169.3 eV per cell
density: 3.1 g/cm3

***

No. 12
Computed, not measured: crystalline LiSmC4O10 at its relaxed geometry at the GGA-PBE level of DFT.

The structure in POSCAR format:
```
LiSmC4O10
1.0
12.594 0.000 0.000
0.000 7.509 0.000
-2.449 0.000 9.251
Li Sm C O
4 4 16 40
direct
0.206 0.195 0.091
0.206 0.805 0.591
0.794 0.195 0.409
0.794 0.805 0.909
0.245 0.276 0.713
0.245 0.724 0.213
0.755 0.276 0.787
0.755 0.724 0.287
0.021 0.278 0.834
0.021 0.722 0.334
0.214 0.128 0.383
0.214 0.872 0.883
0.222 0.334 0.371
0.222 0.666 0.871
0.500 0.170 0.750
0.500 0.376 0.750
0.500 0.624 0.250
0.500 0.830 0.250
0.778 0.334 0.129
0.778 0.666 0.629
0.786 0.128 0.117
0.786 0.872 0.617
0.979 0.278 0.666
0.979 0.722 0.166
0.049 0.279 0.593
0.049 0.721 0.093
0.125 0.272 0.886
0.125 0.728 0.386
0.203 0.040 0.267
0.203 0.960 0.767
0.206 0.400 0.245
0.206 0.600 0.745
0.222 0.066 0.508
0.222 0.934 0.008
0.248 0.418 0.489
0.248 0.582 0.989
0.379 0.247 0.019
0.379 0.753 0.519
0.410 0.094 0.749
0.410 0.906 0.249
0.413 0.452 0.762
0.413 0.548 0.262
0.478 0.235 0.074
0.478 0.765 0.574
0.522 0.235 0.426
0.522 0.765 0.926
0.587 0.452 0.738
0.587 0.548 0.238
0.590 0.094 0.751
0.590 0.906 0.251
0.621 0.247 0.481
0.621 0.753 0.981
0.752 0.418 0.011
0.752 0.582 0.511
0.778 0.066 0.992
0.778 0.934 0.492
0.794 0.400 0.255
0.794 0.600 0.755
0.797 0.040 0.233
0.797 0.960 0.733
0.875 0.272 0.614
0.875 0.728 0.114
0.951 0.279 0.907
0.951 0.721 0.407
```

## Properties
SG: P2/c (13)
total energy after the MP2020 corrections: -475.64 eV/cell
ΔH_f (0 K): -156 kJ per mole of atoms
DFT total energy: -469.2 eV per cell
density: 2.8 g/cm3

***

Repeat the sixth record exactly.
Computed, not measured: crystalline Li3ZnPCO7 at its relaxed geometry at the GGA-PBE level of DFT.

The structure in POSCAR format:
```
Li3ZnPCO7
1.0
4.931 0.000 0.000
0.000 6.451 0.000
-0.348 0.000 8.467
Li Zn P C O
6 2 2 2 14
direct
0.231 0.017 0.236
0.231 0.483 0.236
0.256 0.750 0.587
0.744 0.250 0.413
0.769 0.517 0.764
0.769 0.983 0.764
0.225 0.250 0.854
0.775 0.750 0.146
0.287 0.750 0.910
0.713 0.250 0.090
0.271 0.250 0.542
0.729 0.750 0.458
0.021 0.250 0.582
0.184 0.562 0.811
0.184 0.938 0.811
0.186 0.750 0.082
0.334 0.250 0.394
0.395 0.250 0.077
0.466 0.250 0.650
0.534 0.750 0.350
0.605 0.750 0.923
0.666 0.750 0.606
0.814 0.250 0.918
0.816 0.062 0.189
0.816 0.438 0.189
0.979 0.750 0.418
```

## Properties
SG: P2_1/m (11)
total energy after the MP2020 corrections: -173.77 eV/cell
ΔH_f (0 K): -227 kJ per mole of atoms
DFT total energy: -164.1 eV per cell
density: 3.0 g/cm3

***

> Number 7 is which compound?

Li3ZnPCO7

***

> What is the formula in the tenth record?

LiSiSbCO7

***

> The lowest total energy after the MP2020 corrections belongs to which entry?

LiSmC4O10